# ZnS PBE relaxed
data_ZnS
_chemical_formula_sum 'Zn36 S36'
_symmetry_space_group_name_H-M 'R 3 m'
_symmetry_Int_Tables_number 160
_symmetry_space_group_name_Hall 'R 3 -2"'
_cell_length_a 3.8598
_cell_length_b 3.8598
_cell_length_c 113.2888
_cell_angle_alpha 90.00
_cell_angle_beta 90.00
_cell_angle_gamma 120.00
loop_
_atom_site_label
_atom_site_type_symbol
_atom_site_fract_x
_atom_site_fract_y
_atom_site_fract_z
Zn1 Zn 0.0000 0.0000 0.0000
Zn2 Zn 0.0000 0.0000 0.0556
Zn3 Zn 0.0000 0.0000 0.1389
Zn4 Zn 0.0000 0.0000 0.2222
Zn5 Zn 0.0000 0.0000 0.2778
Zn6 Zn 0.0000 0.0000 0.3611
Zn7 Zn 0.0000 0.0000 0.4445
Zn8 Zn 0.0000 0.0000 0.5278
Zn9 Zn 0.0000 0.0000 0.6389
Zn10 Zn 0.0000 0.0000 0.7500
Zn11 Zn 0.0000 0.0000 0.8333
Zn12 Zn 0.0000 0.0000 0.9167
S1 S 0.0000 0.0000 0.0348
S2 S 0.0000 0.0000 0.1181
S3 S 0.0000 0.0000 0.2014
S4 S 0.0000 0.0000 0.2570
S5 S 0.0000 0.0000 0.3403
S6 S 0.0000 0.0000 0.4236
S7 S 0.0000 0.0000 0.5070
S8 S 0.0000 0.0000 0.6181
S9 S 0.0000 0.0000 0.7292
S10 S 0.0000 0.0000 0.8125
S11 S 0.0000 0.0000 0.8958
S12 S 0.0000 0.0000 0.9792
# Magnetic moment: 0.00 μB per formula unit
# Calculated volume: 40.6 Å³/f.u.
# Energy of formation from the pure elements: -1051.8 meV per atom

=====

# ZnS PBE relaxed
data_ZnS
_chemical_formula_sum 'Zn40 S40'
_symmetry_space_group_name_H-M 'P 3 m 1'
_symmetry_Int_Tables_number 156
_symmetry_space_group_name_Hall 'P 3 -2"'
_cell_length_a 3.8533
_cell_length_b 3.8533
_cell_length_c 125.9102
_cell_angle_alpha 90.00
_cell_angle_beta 90.00
_cell_angle_gamma 120.00
loop_
_atom_site_label
_atom_site_type_symbol
_atom_site_fract_x
_atom_site_fract_y
_atom_site_fract_z
Zn1 Zn 0.0000 0.0000 0.0000
Zn2 Zn 0.0000 0.0000 0.0500
Zn3 Zn 0.0000 0.0000 0.1250
Zn4 Zn 0.0000 0.0000 0.2000
Zn5 Zn 0.0000 0.0000 0.2750
Zn6 Zn 0.0000 0.0000 0.3250
Zn7 Zn 0.0000 0.0000 0.4000
Zn8 Zn 0.0000 0.0000 0.4750
Zn9 Zn 0.0000 0.0000 0.5500
Zn10 Zn 0.0000 0.0000 0.6000
Zn11 Zn 0.0000 0.0000 0.6750
Zn12 Zn 0.0000 0.0000 0.7500
Zn13 Zn 0.0000 0.0000 0.8250
Zn14 Zn 0.0000 0.0000 0.8750
Zn15 Zn 0.0000 0.0000 0.9500
Zn16 Zn 0.3333 0.6667 0.0750
Zn17 Zn 0.3333 0.6667 0.1500
Zn18 Zn 0.3333 0.6667 0.2250
Zn19 Zn 0.3333 0.6667 0.3000
Zn20 Zn 0.3333 0.6667 0.3750
Zn21 Zn 0.3333 0.6667 0.4500
Zn22 Zn 0.3333 0.6667 0.5250
Zn23 Zn 0.3333 0.6667 0.6250
Zn24 Zn 0.3333 0.6667 0.7000
Zn25 Zn 0.3333 0.6667 0.8000
Zn26 Zn 0.3333 0.6667 0.9000
Zn27 Zn 0.3333 0.6667 0.9750
Zn28 Zn 0.6667 0.3333 0.0250
Zn29 Zn 0.6667 0.3333 0.1000
Zn30 Zn 0.6667 0.3333 0.1750
Zn31 Zn 0.6667 0.3333 0.2500
Zn32 Zn 0.6667 0.3333 0.3500
Zn33 Zn 0.6667 0.3333 0.4250
Zn34 Zn 0.6667 0.3333 0.5000
Zn35 Zn 0.6667 0.3333 0.5750
Zn36 Zn 0.6667 0.3333 0.6500
Zn37 Zn 0.6667 0.3333 0.7250
Zn38 Zn 0.6667 0.3333 0.7750
Zn39 Zn 0.6667 0.3333 0.8500
Zn40 Zn 0.6667 0.3333 0.9250
S1 S 0.0000 0.0000 0.0187
S2 S 0.0000 0.0000 0.0687
S3 S 0.0000 0.0000 0.1437
S4 S 0.0000 0.0000 0.2187
S5 S 0.0000 0.0000 0.2937
S6 S 0.0000 0.0000 0.3437
S7 S 0.0000 0.0000 0.4187
S8 S 0.0000 0.0000 0.4937
S9 S 0.0000 0.0000 0.5687
S10 S 0.0000 0.0000 0.6187
S11 S 0.0000 0.0000 0.6937
S12 S 0.0000 0.0000 0.7688
S13 S 0.0000 0.0000 0.8437
S14 S 0.0000 0.0000 0.8937
S15 S 0.0000 0.0000 0.9687
S16 S 0.3333 0.6667 0.0937
S17 S 0.3333 0.6667 0.1687
S18 S 0.3333 0.6667 0.2437
S19 S 0.3333 0.6667 0.3188
S20 S 0.3333 0.6667 0.3937
S21 S 0.3333 0.6667 0.4687
S22 S 0.3333 0.6667 0.5438
S23 S 0.3333 0.6667 0.6437
S24 S 0.3333 0.6667 0.7188
S25 S 0.3333 0.6667 0.8188
S26 S 0.3333 0.6667 0.9187
S27 S 0.3333 0.6667 0.9938
S28 S 0.6667 0.3333 0.0438
S29 S 0.6667 0.3333 0.1187
S30 S 0.6667 0.3333 0.1937
S31 S 0.6667 0.3333 0.2688
S32 S 0.6667 0.3333 0.3687
S33 S 0.6667 0.3333 0.4437
S34 S 0.6667 0.3333 0.5188
S35 S 0.6667 0.3333 0.5938
S36 S 0.6667 0.3333 0.6687
S37 S 0.6667 0.3333 0.7437
S38 S 0.6667 0.3333 0.7937
S39 S 0.6667 0.3333 0.8688
S40 S 0.6667 0.3333 0.9438
# Magnetic moment: 0.00 μB per formula unit
# Calculated volume: 40.5 Å³/f.u.
# Energy of formation from the pure elements: -1062.4 meV per atom

=====

# ZnS PBE relaxed
data_ZnS
_chemical_formula_sum 'Zn24 S24'
_symmetry_space_group_name_H-M 'P 3 m 1'
_symmetry_Int_Tables_number 156
_symmetry_space_group_name_Hall 'P 3 -2"'
_cell_length_a 3.8527
_cell_length_b 3.8527
_cell_length_c 75.5959
_cell_angle_alpha 90.00
_cell_angle_beta 90.00
_cell_angle_gamma 120.00
loop_
_atom_site_label
_atom_site_type_symbol
_atom_site_fract_x
_atom_site_fract_y
_atom_site_fract_z
Zn1 Zn 0.0000 0.0000 0.0000
Zn2 Zn 0.0000 0.0000 0.0833
Zn3 Zn 0.0000 0.0000 0.1667
Zn4 Zn 0.0000 0.0000 0.2917
Zn5 Zn 0.0000 0.0000 0.4583
Zn6 Zn 0.0000 0.0000 0.5833
Zn7 Zn 0.0000 0.0000 0.7500
Zn8 Zn 0.0000 0.0000 0.8334
Zn9 Zn 0.3333 0.6667 0.1250
Zn10 Zn 0.3333 0.6667 0.2500
Zn11 Zn 0.3333 0.6667 0.3333
Zn12 Zn 0.3333 0.6667 0.4167
Zn13 Zn 0.3333 0.6667 0.5000
Zn14 Zn 0.3333 0.6667 0.6250
Zn15 Zn 0.3333 0.6667 0.7084
Zn16 Zn 0.3333 0.6667 0.8750
Zn17 Zn 0.3333 0.6667 0.9584
Zn18 Zn 0.6667 0.3333 0.0417
Zn19 Zn 0.6667 0.3333 0.2083
Zn20 Zn 0.6667 0.3333 0.3750
Zn21 Zn 0.6667 0.3333 0.5417
Zn22 Zn 0.6667 0.3333 0.6667
Zn23 Zn 0.6667 0.3333 0.7917
Zn24 Zn 0.6667 0.3333 0.9167
S1 S 0.0000 0.0000 0.0312
S2 S 0.0000 0.0000 0.1146
S3 S 0.0000 0.0000 0.1979
S4 S 0.0000 0.0000 0.3229
S5 S 0.0000 0.0000 0.4896
S6 S 0.0000 0.0000 0.6146
S7 S 0.0000 0.0000 0.7812
S8 S 0.0000 0.0000 0.8646
S9 S 0.3333 0.6667 0.1563
S10 S 0.3333 0.6667 0.2812
S11 S 0.3333 0.6667 0.3646
S12 S 0.3333 0.6667 0.4479
S13 S 0.3333 0.6667 0.5312
S14 S 0.3333 0.6667 0.6562
S15 S 0.3333 0.6667 0.7396
S16 S 0.3333 0.6667 0.9062
S17 S 0.3333 0.6667 0.9896
S18 S 0.6667 0.3333 0.0729
S19 S 0.6667 0.3333 0.2396
S20 S 0.6667 0.3333 0.4063
S21 S 0.6667 0.3333 0.5729
S22 S 0.6667 0.3333 0.6979
S23 S 0.6667 0.3333 0.8229
S24 S 0.6667 0.3333 0.9479
# Calculated volume: 40.5 Å³/f.u.
# Energy of formation from the pure elements: -1061.9 meV per atom

=====

# ZnS PBE relaxed
data_ZnS
_chemical_formula_sum 'Zn54 S54'
_symmetry_space_group_name_H-M 'R 3 m'
_symmetry_Int_Tables_number 160
_symmetry_space_group_name_Hall 'R 3 -2"'
_cell_length_a 3.8740
_cell_length_b 3.8740
_cell_length_c 168.9813
_cell_angle_alpha 90.00
_cell_angle_beta 90.00
_cell_angle_gamma 120.00
loop_
_atom_site_label
_atom_site_type_symbol
_atom_site_fract_x
_atom_site_fract_y
_atom_site_fract_z
Zn1 Zn 0.0000 0.0000 0.0000
Zn2 Zn 0.0000 0.0000 0.0370
Zn3 Zn 0.0000 0.0000 0.0926
Zn4 Zn 0.0000 0.0000 0.1481
Zn5 Zn 0.0000 0.0000 0.1852
Zn6 Zn 0.0000 0.0000 0.2407
Zn7 Zn 0.0000 0.0000 0.2963
Zn8 Zn 0.0000 0.0000 0.3519
Zn9 Zn 0.0000 0.0000 0.4074
Zn10 Zn 0.0000 0.0000 0.4630
Zn11 Zn 0.0000 0.0000 0.5370
Zn12 Zn 0.0000 0.0000 0.5926
Zn13 Zn 0.0000 0.0000 0.6482
Zn14 Zn 0.0000 0.0000 0.7222
Zn15 Zn 0.0000 0.0000 0.7778
Zn16 Zn 0.0000 0.0000 0.8333
Zn17 Zn 0.0000 0.0000 0.8889
Zn18 Zn 0.0000 0.0000 0.9444
S1 S 0.0000 0.0000 0.0232
S2 S 0.0000 0.0000 0.0787
S3 S 0.0000 0.0000 0.1343
S4 S 0.0000 0.0000 0.1713
S5 S 0.0000 0.0000 0.2269
S6 S 0.0000 0.0000 0.2824
S7 S 0.0000 0.0000 0.3380
S8 S 0.0000 0.0000 0.3935
S9 S 0.0000 0.0000 0.4491
S10 S 0.0000 0.0000 0.5232
S11 S 0.0000 0.0000 0.5787
S12 S 0.0000 0.0000 0.6343
S13 S 0.0000 0.0000 0.7084
S14 S 0.0000 0.0000 0.7639
S15 S 0.0000 0.0000 0.8194
S16 S 0.0000 0.0000 0.8750
S17 S 0.0000 0.0000 0.9306
S18 S 0.0000 0.0000 0.9861
# Magnetic moment: 0.00 μB per formula unit
# Calculated volume: 40.7 Å³/f.u.
# Energy of formation from the pure elements: -1051.2 meV per atom

=====

# ZnS PBE relaxed
data_ZnS
_chemical_formula_sum 'Zn12 S12'
_symmetry_space_group_name_H-M 'P 3 m 1'
_symmetry_Int_Tables_number 156
_symmetry_space_group_name_Hall 'P 3 -2"'
_cell_length_a 3.8334
_cell_length_b 3.8334
_cell_length_c 38.9269
_cell_angle_alpha 90.00
_cell_angle_beta 90.00
_cell_angle_gamma 120.00
loop_
_atom_site_label
_atom_site_type_symbol
_atom_site_fract_x
_atom_site_fract_y
_atom_site_fract_z
Zn1 Zn 0.0000 0.0000 0.0000
Zn2 Zn 0.0000 0.0000 0.1367
Zn3 Zn 0.0000 0.0000 0.3832
Zn4 Zn 0.0000 0.0000 0.6284
Zn5 Zn 0.0000 0.0000 0.7894
Zn6 Zn 0.3333 0.6667 0.2186
Zn7 Zn 0.3333 0.6667 0.5473
Zn8 Zn 0.3333 0.6667 0.8694
Zn9 Zn 0.6667 0.3333 0.3007
Zn10 Zn 0.6667 0.3333 0.4656
Zn11 Zn 0.6667 0.3333 0.7091
Zn12 Zn 0.6667 0.3333 0.9538
S1 S 0.0000 0.0000 0.0563
S2 S 0.0000 0.0000 0.1982
S3 S 0.0000 0.0000 0.4447
S4 S 0.0000 0.0000 0.6891
S5 S 0.0000 0.0000 0.8497
S6 S 0.3333 0.6667 0.2799
S7 S 0.3333 0.6667 0.6082
S8 S 0.3333 0.6667 0.9297
S9 S 0.6667 0.3333 0.1173
S10 S 0.6667 0.3333 0.3622
S11 S 0.6667 0.3333 0.5267
S12 S 0.6667 0.3333 0.7696
# Magnetic moment: 0.15 μB per formula unit
# Calculated volume: 41.3 Å³/f.u.
# Energy of formation from the pure elements: -852.5 meV per atom

=====

# ZnS PBE relaxed
data_ZnS
_chemical_formula_sum 'Zn22 S22'
_symmetry_space_group_name_H-M 'P 3 m 1'
_symmetry_Int_Tables_number 156
_symmetry_space_group_name_Hall 'P 3 -2"'
_cell_length_a 3.8533
_cell_length_b 3.8533
_cell_length_c 69.2493
_cell_angle_alpha 90.00
_cell_angle_beta 90.00
_cell_angle_gamma 120.00
loop_
_atom_site_label
_atom_site_type_symbol
_atom_site_fract_x
_atom_site_fract_y
_atom_site_fract_z
Zn1 Zn 0.0000 0.0000 0.0000
Zn2 Zn 0.0000 0.0000 0.0909
Zn3 Zn 0.0000 0.0000 0.2272
Zn4 Zn 0.0000 0.0000 0.3182
Zn5 Zn 0.0000 0.0000 0.4545
Zn6 Zn 0.0000 0.0000 0.5909
Zn7 Zn 0.0000 0.0000 0.7272
Zn8 Zn 0.0000 0.0000 0.8636
Zn9 Zn 0.3333 0.6667 0.0454
Zn10 Zn 0.3333 0.6667 0.1818
Zn11 Zn 0.3333 0.6667 0.3636
Zn12 Zn 0.3333 0.6667 0.5000
Zn13 Zn 0.3333 0.6667 0.6363
Zn14 Zn 0.3333 0.6667 0.7727
Zn15 Zn 0.3333 0.6667 0.9091
Zn16 Zn 0.6667 0.3333 0.1363
Zn17 Zn 0.6667 0.3333 0.2727
Zn18 Zn 0.6667 0.3333 0.4091
Zn19 Zn 0.6667 0.3333 0.5454
Zn20 Zn 0.6667 0.3333 0.6818
Zn21 Zn 0.6667 0.3333 0.8182
Zn22 Zn 0.6667 0.3333 0.9545
S1 S 0.0000 0.0000 0.0341
S2 S 0.0000 0.0000 0.1250
S3 S 0.0000 0.0000 0.2613
S4 S 0.0000 0.0000 0.3522
S5 S 0.0000 0.0000 0.4886
S6 S 0.0000 0.0000 0.6249
S7 S 0.0000 0.0000 0.7613
S8 S 0.0000 0.0000 0.8977
S9 S 0.3333 0.6667 0.0795
S10 S 0.3333 0.6667 0.2159
S11 S 0.3333 0.6667 0.3977
S12 S 0.3333 0.6667 0.5341
S13 S 0.3333 0.6667 0.6704
S14 S 0.3333 0.6667 0.8068
S15 S 0.3333 0.6667 0.9432
S16 S 0.6667 0.3333 0.1704
S17 S 0.6667 0.3333 0.3068
S18 S 0.6667 0.3333 0.4432
S19 S 0.6667 0.3333 0.5795
S20 S 0.6667 0.3333 0.7159
S21 S 0.6667 0.3333 0.8522
S22 S 0.6667 0.3333 0.9886
# Calculated volume: 40.5 Å³/f.u.
# Energy of formation from the pure elements: -1062.5 meV per atom

=====

# ZnS PBE relaxed
data_ZnS
_chemical_formula_sum 'Zn36 S36'
_symmetry_space_group_name_H-M 'R 3 m'
_symmetry_Int_Tables_number 160
_symmetry_space_group_name_Hall 'R 3 -2"'
_cell_length_a 3.8589
_cell_length_b 3.8589
_cell_length_c 113.2867
_cell_angle_alpha 90.00
_cell_angle_beta 90.00
_cell_angle_gamma 120.00
loop_
_atom_site_label
_atom_site_type_symbol
_atom_site_fract_x
_atom_site_fract_y
_atom_site_fract_z
Zn1 Zn 0.0000 0.0000 0.0000
Zn2 Zn 0.0000 0.0000 0.0556
Zn3 Zn 0.0000 0.0000 0.1389
Zn4 Zn 0.0000 0.0000 0.1945
Zn5 Zn 0.0000 0.0000 0.2778
Zn6 Zn 0.0000 0.0000 0.3611
Zn7 Zn 0.0000 0.0000 0.4445
Zn8 Zn 0.0000 0.0000 0.5556
Zn9 Zn 0.0000 0.0000 0.6389
Zn10 Zn 0.0000 0.0000 0.7500
Zn11 Zn 0.0000 0.0000 0.8333
Zn12 Zn 0.0000 0.0000 0.9167
S1 S 0.0000 0.0000 0.0348
S2 S 0.0000 0.0000 0.1181
S3 S 0.0000 0.0000 0.1736
S4 S 0.0000 0.0000 0.2570
S5 S 0.0000 0.0000 0.3403
S6 S 0.0000 0.0000 0.4236
S7 S 0.0000 0.0000 0.5347
S8 S 0.0000 0.0000 0.6181
S9 S 0.0000 0.0000 0.7292
S10 S 0.0000 0.0000 0.8125
S11 S 0.0000 0.0000 0.8959
S12 S 0.0000 0.0000 0.9792
# Magnetic moment: 0.00 μB per formula unit
# Calculated volume: 40.6 Å³/f.u.
# Energy of formation from the pure elements: -1051.8 meV per atom

=====

# ZnS PBE relaxed
data_ZnS
_chemical_formula_sum 'Zn22 S22'
_symmetry_space_group_name_H-M 'P 3 m 1'
_symmetry_Int_Tables_number 156
_symmetry_space_group_name_Hall 'P 3 -2"'
_cell_length_a 3.8532
_cell_length_b 3.8532
_cell_length_c 69.2484
_cell_angle_alpha 90.00
_cell_angle_beta 90.00
_cell_angle_gamma 120.00
loop_
_atom_site_label
_atom_site_type_symbol
_atom_site_fract_x
_atom_site_fract_y
_atom_site_fract_z
Zn1 Zn 0.0000 0.0000 0.0000
Zn2 Zn 0.0000 0.0000 0.0910
Zn3 Zn 0.0000 0.0000 0.2273
Zn4 Zn 0.0000 0.0000 0.3636
Zn5 Zn 0.0000 0.0000 0.5000
Zn6 Zn 0.0000 0.0000 0.6364
Zn7 Zn 0.0000 0.0000 0.7728
Zn8 Zn 0.0000 0.0000 0.9091
Zn9 Zn 0.3333 0.6667 0.1364
Zn10 Zn 0.3333 0.6667 0.2728
Zn11 Zn 0.3333 0.6667 0.4091
Zn12 Zn 0.3333 0.6667 0.5455
Zn13 Zn 0.3333 0.6667 0.6819
Zn14 Zn 0.3333 0.6667 0.8182
Zn15 Zn 0.3333 0.6667 0.9546
Zn16 Zn 0.6667 0.3333 0.0455
Zn17 Zn 0.6667 0.3333 0.1819
Zn18 Zn 0.6667 0.3333 0.3182
Zn19 Zn 0.6667 0.3333 0.4546
Zn20 Zn 0.6667 0.3333 0.5909
Zn21 Zn 0.6667 0.3333 0.7273
Zn22 Zn 0.6667 0.3333 0.8637
S1 S 0.0000 0.0000 0.0341
S2 S 0.0000 0.0000 0.1250
S3 S 0.0000 0.0000 0.2614
S4 S 0.0000 0.0000 0.3977
S5 S 0.0000 0.0000 0.5341
S6 S 0.0000 0.0000 0.6705
S7 S 0.0000 0.0000 0.8069
S8 S 0.0000 0.0000 0.9432
S9 S 0.3333 0.6667 0.1705
S10 S 0.3333 0.6667 0.3069
S11 S 0.3333 0.6667 0.4432
S12 S 0.3333 0.6667 0.5796
S13 S 0.3333 0.6667 0.7159
S14 S 0.3333 0.6667 0.8523
S15 S 0.3333 0.6667 0.9887
S16 S 0.6667 0.3333 0.0796
S17 S 0.6667 0.3333 0.2159
S18 S 0.6667 0.3333 0.3523
S19 S 0.6667 0.3333 0.4887
S20 S 0.6667 0.3333 0.6250
S21 S 0.6667 0.3333 0.7614
S22 S 0.6667 0.3333 0.8978
# Calculated volume: 40.5 Å³/f.u.
# Energy of formation from the pure elements: -1062.5 meV per atom

=====

no.,E (MP2020) (eV/atom)
1,-3.750
2,-3.760
3,-3.760
4,-3.749
5,-3.551
6,-3.761
7,-3.750
8,-3.761